# 1
Material: Li9Mn2Co5O16
Method: DFT, PBE+U
State: relaxed

Summary:
Energy with MP2020 corrections (eV/f.u.): -207.52
ΔE_f (meV per atom): -1791
Electronic total energy (eV per cell): -185.01
Relative energy among the computed polymorphs (meV/atom): 73

a = 3.0182 Å, b = 9.9075 Å, c = 10.0227 Å
α = 77.98°, β = 87.68°, γ = 87.34°
Sites, in units of the cell vectors:
O (0.0382, 0.6193, 0.5688)
Li (0.9921, 0.2456, 0.6290)
Mn (0.5000, 0.5000, 0.5000)
Li (0.5018, 0.7479, 0.1285)
Co (0.5000, 0.5000, 0.0000)
O (0.4749, 0.8883, 0.9252)
Li (0.0000, 0.0000, 0.5000)
O (0.4858, 0.6129, 0.3150)
Li (0.9986, 0.7509, 0.8738)
Co (0.9994, 0.5023, 0.7522)
O (0.4840, 0.6125, 0.8198)
O (0.9638, 0.3854, 0.9347)
Li (0.0079, 0.7544, 0.3710)
O (0.9758, 0.8850, 0.1819)
Co (0.4900, 0.9988, 0.7401)
O (0.5251, 0.1117, 0.0748)
O (0.5160, 0.3875, 0.1802)
O (0.5142, 0.3871, 0.6851)
O (0.0242, 0.1150, 0.8181)
O (0.0321, 0.1153, 0.3076)
Mn (0.0000, 0.0000, 0.0000)
Li (0.0014, 0.2491, 0.1262)
O (0.9679, 0.8847, 0.6924)
Li (0.4982, 0.2521, 0.8715)
O (0.9618, 0.3807, 0.4312)
O (0.4986, 0.8855, 0.4166)
Li (0.4983, 0.2427, 0.3769)
O (0.0362, 0.6146, 0.0653)
O (0.5014, 0.1145, 0.5834)
Co (0.0006, 0.4977, 0.2478)
Co (0.5100, 0.0012, 0.2599)
Li (0.5017, 0.7573, 0.6231)

=====

# 2
Material: K2W2O5
Method: DFT, PBE+U
State: relaxed

Summary:
Energy with MP2020 corrections (eV/f.u.): -68.85
ΔE_f (meV per atom): -1775
Electronic total energy (eV per cell): -113.08
Relative energy among the computed polymorphs (meV/atom): 25

a = 9.0573 Å, b = 9.0573 Å, c = 9.0573 Å
α = 141.97°, β = 141.62°, γ = 55.14°
Sites, in units of the cell vectors:
O (0.7569, 0.7468, 0.4862)
W (0.0000, 0.9839, 0.9839)
K (0.5876, 0.1051, 0.4788)
O (0.2431, 0.7293, 0.9899)
K (0.8737, 0.3913, 0.4788)
O (0.5979, 0.6159, 0.9400)
O (0.8241, 0.8420, 0.9400)
O (0.8995, 0.1177, 0.5171)
O (0.1759, 0.1159, 0.0179)
O (0.2395, 0.2293, 0.4862)
W (0.5000, 0.4839, 0.9839)
W (0.8121, 0.8040, 0.1162)
K (0.1263, 0.6051, 0.5176)
K (0.4124, 0.8913, 0.5176)
O (0.1005, 0.6177, 0.2182)
W (0.1879, 0.3040, 0.9919)
O (0.4021, 0.3420, 0.0179)
O (0.7605, 0.2468, 0.9899)

=====

# 3
Material: Ti3Cr2CuP6O24
Method: DFT, PBE+U
State: relaxed

Summary:
Energy with MP2020 corrections (eV/f.u.): -295.82
ΔE_f (meV per atom): -2708
Electronic total energy (eV per cell): -275.34

a = 8.5857 Å, b = 8.5857 Å, c = 8.5857 Å
α = 60.54°, β = 60.54°, γ = 60.54°
Sites, in units of the cell vectors:
O (0.9515, 0.0956, 0.7372)
Ti (0.1449, 0.1449, 0.1449)
P (0.9558, 0.2515, 0.5452)
Ti (0.6463, 0.6463, 0.6463)
P (0.0458, 0.7537, 0.4533)
O (0.5022, 0.8794, 0.6913)
O (0.8177, 0.6007, 0.0191)
O (0.2397, 0.5883, 0.4276)
O (0.9127, 0.2526, 0.0570)
O (0.4276, 0.2397, 0.5883)
O (0.0015, 0.1877, 0.3811)
P (0.4533, 0.0458, 0.7537)
O (0.0191, 0.8177, 0.6007)
O (0.1134, 0.3279, 0.4853)
O (0.8794, 0.6913, 0.5022)
P (0.2515, 0.5452, 0.9558)
O (0.5547, 0.7617, 0.4153)
P (0.7537, 0.4533, 0.0458)
O (0.4153, 0.5547, 0.7617)
Cr (0.9973, 0.9973, 0.9973)
O (0.6007, 0.0191, 0.8177)
O (0.2526, 0.0570, 0.9127)
O (0.7617, 0.4153, 0.5547)
O (0.1877, 0.3811, 0.0015)
O (0.5883, 0.4276, 0.2397)
O (0.7372, 0.9515, 0.0956)
O (0.3811, 0.0015, 0.1877)
Cr (0.4988, 0.4988, 0.4988)
O (0.4853, 0.1134, 0.3279)
O (0.0570, 0.9127, 0.2526)
O (0.6913, 0.5022, 0.8794)
P (0.5452, 0.9558, 0.2515)
Cu (0.8517, 0.8517, 0.8517)
O (0.3279, 0.4853, 0.1134)
O (0.0956, 0.7372, 0.9515)
Ti (0.3545, 0.3545, 0.3545)

=====

# 4
Material: MnOF
Method: DFT, PBE+U
State: relaxed

Summary:
Energy with MP2020 corrections (eV/f.u.): -22.93
ΔE_f (meV per atom): -2301
Electronic total energy (eV per cell): -160.88

a = 4.6367 Å, b = 5.6518 Å, c = 10.3106 Å
α = 90.04°, β = 91.03°, γ = 91.85°
Sites, in units of the cell vectors:
O (0.3185, 0.6138, 0.2044)
O (0.2823, 0.3712, 0.9624)
F (0.7455, 0.1101, 0.5336)
Mn (0.5149, 0.6511, 0.3726)
Mn (0.4601, 0.3571, 0.6213)
O (0.6812, 0.3898, 0.7822)
Mn (0.0247, 0.1510, 0.3746)
O (0.8142, 0.8841, 0.2935)
O (0.2670, 0.3915, 0.4534)
F (0.2048, 0.6313, 0.7116)
O (0.1744, 0.1232, 0.7102)
O (0.7059, 0.6225, 0.5431)
O (0.8018, 0.1173, 0.0434)
F (0.7732, 0.6104, 0.0309)
Mn (0.0264, 0.8431, 0.1348)
F (0.2422, 0.8607, 0.9645)
Mn (0.9776, 0.1764, 0.8759)
Mn (0.5293, 0.3433, 0.1167)
F (0.2399, 0.9012, 0.4679)
F (0.2874, 0.1092, 0.2191)
Mn (0.4794, 0.6198, 0.8748)
F (0.7215, 0.8838, 0.8015)
F (0.7737, 0.3774, 0.2805)
Mn (0.9542, 0.8605, 0.6273)

=====

# 5
Material: Li9Cr12Co7O48
Method: DFT, PBE+U
State: relaxed

Summary:
Energy with MP2020 corrections (eV/f.u.): -552.31
ΔE_f (meV per atom): -1737
Electronic total energy (eV per cell): -483.88

a = 5.1061 Å, b = 10.2581 Å, c = 17.3484 Å
α = 89.91°, β = 89.90°, γ = 90.00°
Sites, in units of the cell vectors:
O (0.6403, 0.7503, 0.6539)
O (0.5488, 0.8952, 0.1306)
Co (0.7570, 0.5712, 0.0252)
Co (0.7537, 0.0707, 0.5269)
O (0.0994, 0.0040, 0.0782)
Cr (0.2290, 0.0269, 0.6549)
O (0.4511, 0.3947, 0.8694)
Cr (0.7174, 0.4749, 0.8436)
O (0.8998, 0.3812, 0.7893)
O (0.1785, 0.6149, 0.7030)
Co (0.2451, 0.0716, 0.9751)
O (0.5827, 0.1247, 0.0329)
Co (0.4089, 0.7485, 0.7508)
Li (0.7541, 0.9235, 0.0289)
O (0.8967, 0.5070, 0.9221)
Cr (0.7177, 0.7503, 0.5587)
O (0.0479, 0.8885, 0.3669)
Co (0.2433, 0.7508, 0.3000)
O (0.5760, 0.8734, 0.2932)
O (0.4107, 0.0007, 0.5767)
O (0.1832, 0.8829, 0.7039)
O (0.9501, 0.7426, 0.9955)
Cr (0.7703, 0.5304, 0.3436)
Li (0.2460, 0.4196, 0.9720)
O (0.3977, 0.3739, 0.7088)
O (0.8889, 0.1222, 0.7897)
O (0.3471, 0.1121, 0.2040)
Li (0.7462, 0.7532, 0.1946)
Cr (0.7161, 0.0261, 0.8455)
Li (0.7651, 0.2515, 0.7000)
O (0.1000, 0.8737, 0.2124)
Cr (0.7709, 0.9694, 0.3442)
O (0.0470, 0.6117, 0.3658)
O (0.4425, 0.1052, 0.8736)
Li (0.2487, 0.9206, 0.4728)
O (0.4106, 0.4987, 0.5764)
O (0.5609, 0.2501, 0.5022)
O (0.9464, 0.3971, 0.6279)
Co (0.5931, 0.2498, 0.2478)
O (0.4158, 0.6245, 0.9662)
O (0.5588, 0.6059, 0.1261)
Cr (0.2792, 0.9725, 0.1566)
O (0.0942, 0.4990, 0.0786)
O (0.1765, 0.7480, 0.8453)
Cr (0.2285, 0.4719, 0.6545)
O (0.3487, 0.3894, 0.2020)
O (0.3960, 0.1251, 0.7091)
O (0.6458, 0.8853, 0.7973)
O (0.3916, 0.8832, 0.9654)
O (0.9466, 0.1012, 0.6285)
Cr (0.2816, 0.2502, 0.4451)
O (0.8999, 0.8812, 0.5377)
Co (0.7546, 0.4298, 0.5268)
O (0.6070, 0.4965, 0.4248)
Li (0.2487, 0.5794, 0.4728)
Cr (0.7746, 0.2493, 0.0555)
O (0.0990, 0.3793, 0.4664)
O (0.6059, 0.0037, 0.4251)
O (0.1113, 0.6278, 0.2114)
Li (0.9056, 0.7497, 0.7484)
O (0.9044, 0.9961, 0.9222)
Li (0.0941, 0.2486, 0.2488)
O (0.4569, 0.7501, 0.5025)
O (0.0984, 0.1214, 0.4670)
Cr (0.2274, 0.7496, 0.9424)
O (0.6078, 0.3839, 0.0335)
O (0.3524, 0.2501, 0.3513)
O (0.8992, 0.6194, 0.5375)
O (0.8288, 0.3906, 0.2960)
O (0.0497, 0.2424, 0.0009)
O (0.6421, 0.6173, 0.7951)
O (0.5760, 0.6262, 0.2921)
Cr (0.2831, 0.5287, 0.1550)
O (0.8333, 0.2485, 0.1509)
Li (0.2574, 0.2517, 0.8033)
O (0.8300, 0.1086, 0.2965)